Material: SiNiH12O6F6
Method: DFT, PBE with a Hubbard U
State: relaxed

a b c (Å): 6.393 6.395 25.581
angles (deg): 96.31 96.32 96.35
Positions (direct):
Si  0.000  0.000  0.000
Si  0.000  0.000  0.250
Si  0.000  0.000  0.500
Si  0.000  0.000  0.750
Ni  0.500  0.500  0.125
Ni  0.500  0.500  0.375
Ni  0.500  0.500  0.625
Ni  0.500  0.500  0.875
H  0.101  0.443  0.325
H  0.102  0.442  0.075
H  0.102  0.442  0.575
H  0.102  0.442  0.825
H  0.187  0.686  0.076
H  0.187  0.686  0.326
H  0.187  0.686  0.576
H  0.187  0.686  0.826
H  0.298  0.101  0.361
H  0.298  0.101  0.611
H  0.298  0.102  0.111
H  0.298  0.102  0.861
H  0.305  0.187  0.172
H  0.305  0.187  0.422
H  0.305  0.187  0.671
H  0.305  0.187  0.921
H  0.314  0.695  0.203
H  0.314  0.695  0.453
H  0.314  0.695  0.703
H  0.314  0.695  0.953
H  0.442  0.298  0.025
H  0.442  0.298  0.275
H  0.442  0.298  0.525
H  0.442  0.298  0.775
H  0.558  0.702  0.225
H  0.558  0.702  0.475
H  0.558  0.702  0.725
H  0.558  0.702  0.975
H  0.686  0.305  0.047
H  0.686  0.305  0.297
H  0.686  0.305  0.547
H  0.686  0.305  0.797
H  0.695  0.813  0.079
H  0.695  0.813  0.329
H  0.695  0.813  0.578
H  0.695  0.813  0.828
H  0.702  0.898  0.139
H  0.702  0.898  0.889
H  0.702  0.899  0.389
H  0.702  0.899  0.639
H  0.813  0.314  0.174
H  0.813  0.314  0.424
H  0.813  0.314  0.674
H  0.813  0.314  0.924
H  0.898  0.558  0.175
H  0.898  0.558  0.425
H  0.898  0.558  0.925
H  0.899  0.557  0.675
O  0.201  0.560  0.594
O  0.202  0.559  0.094
O  0.202  0.560  0.344
O  0.202  0.560  0.844
O  0.377  0.201  0.640
O  0.377  0.202  0.140
O  0.377  0.202  0.390
O  0.377  0.202  0.890
O  0.440  0.622  0.700
O  0.440  0.623  0.450
O  0.441  0.623  0.200
O  0.441  0.623  0.950
O  0.559  0.377  0.050
O  0.559  0.377  0.800
O  0.560  0.377  0.550
O  0.560  0.378  0.300
O  0.623  0.798  0.110
O  0.623  0.798  0.610
O  0.623  0.798  0.860
O  0.623  0.799  0.360
O  0.798  0.440  0.156
O  0.798  0.440  0.656
O  0.798  0.441  0.906
O  0.799  0.440  0.406
F  0.063  0.779  0.213
F  0.063  0.779  0.463
F  0.063  0.779  0.714
F  0.063  0.779  0.963
F  0.146  0.937  0.055
F  0.146  0.937  0.305
F  0.147  0.937  0.555
F  0.147  0.937  0.805
F  0.221  0.146  0.234
F  0.221  0.147  0.484
F  0.221  0.147  0.984
F  0.222  0.147  0.735
F  0.778  0.853  0.265
F  0.779  0.853  0.016
F  0.779  0.853  0.516
F  0.779  0.854  0.766
F  0.853  0.063  0.195
F  0.853  0.063  0.445
F  0.854  0.063  0.695
F  0.854  0.063  0.945
F  0.937  0.221  0.037
F  0.937  0.221  0.286
F  0.937  0.221  0.537
F  0.937  0.221  0.787

Output
corrected total energy (MP2020 scheme) = -5.425 eV per atom
energy of formation from the pure elements = -1845 meV per atom

Material: Fe13O19
Method: DFT, PBE with a Hubbard U
State: relaxed

a b c (Å): 11.191 11.191 11.021
angles (deg): 118.21 118.21 14.95
Positions (direct):
Fe  0.000  0.000  0.000
Fe  0.074  0.074  0.547
Fe  0.264  0.264  0.375
Fe  0.303  0.303  0.149
Fe  0.344  0.344  0.919
Fe  0.382  0.382  0.668
Fe  0.467  0.467  0.219
Fe  0.533  0.533  0.781
Fe  0.618  0.618  0.332
Fe  0.656  0.656  0.081
Fe  0.697  0.697  0.851
Fe  0.736  0.736  0.625
Fe  0.926  0.926  0.453
O  0.051  0.051  0.342
O  0.077  0.077  0.953
O  0.089  0.089  0.741
O  0.161  0.161  0.221
O  0.196  0.196  0.463
O  0.199  0.199  0.998
O  0.238  0.238  0.769
O  0.363  0.363  0.421
O  0.461  0.461  0.859
O  0.500  0.500  0.500
O  0.539  0.539  0.141
O  0.637  0.637  0.579
O  0.762  0.762  0.231
O  0.801  0.801  0.002
O  0.804  0.804  0.537
O  0.839  0.839  0.779
O  0.911  0.911  0.259
O  0.923  0.923  0.047
O  0.949  0.949  0.658

Output
corrected total energy (MP2020 scheme) = -7.770 eV per atom
energy of formation from the pure elements = -1391 meV per atom

Material: Na3VH28O22
Method: DFT, PBE with a Hubbard U
State: relaxed

a b c (Å): 7.688 8.828 9.259
angles (deg): 62.60 80.15 68.72
Positions (direct):
Na  0.000  0.000  0.000
Na  0.141  0.275  0.124
Na  0.284  0.555  0.244
V  0.645  0.773  0.624
H  0.007  0.392  0.800
H  0.078  0.305  0.423
H  0.119  0.904  0.317
H  0.130  0.641  0.541
H  0.151  0.923  0.701
H  0.164  0.646  0.928
H  0.209  0.256  0.821
H  0.277  0.161  0.446
H  0.340  0.641  0.532
H  0.372  0.543  0.912
H  0.381  0.904  0.084
H  0.394  0.842  0.946
H  0.401  0.347  0.616
H  0.455  0.132  0.700
H  0.501  0.976  0.250
H  0.522  0.106  0.069
H  0.608  0.210  0.837
H  0.611  0.227  0.352
H  0.672  0.322  0.892
H  0.680  0.339  0.405
H  0.748  0.461  0.155
H  0.784  0.410  0.571
H  0.821  0.577  0.978
H  0.863  0.755  0.272
H  0.892  0.201  0.622
H  0.899  0.649  0.165
H  0.912  0.012  0.326
H  0.964  0.872  0.739
O  0.024  0.021  0.257
O  0.029  0.940  0.757
O  0.084  0.270  0.874
O  0.202  0.283  0.371
O  0.244  0.641  0.472
O  0.262  0.532  0.985
O  0.337  0.830  0.053
O  0.379  0.926  0.605
O  0.430  0.240  0.721
O  0.433  0.047  0.145
O  0.482  0.924  0.725
O  0.576  0.582  0.623
O  0.577  0.565  0.788
O  0.599  0.353  0.324
O  0.675  0.858  0.391
O  0.685  0.195  0.922
O  0.709  0.976  0.445
O  0.846  0.721  0.761
O  0.849  0.511  0.097
O  0.850  0.321  0.527
O  0.909  0.628  0.656
O  0.951  0.720  0.194

Output
corrected total energy (MP2020 scheme) = -5.351 eV per atom
energy of formation from the pure elements = -1334 meV per atom

Material: CaFe2P2HO9
Method: DFT, PBE with a Hubbard U
State: relaxed

a b c (Å): 9.684 10.930 6.486
angles (deg): 90.00 90.00 90.00
Positions (direct):
Ca  0.069  0.232  0.000
Ca  0.431  0.732  0.000
Ca  0.569  0.268  0.000
Ca  0.931  0.768  0.000
Fe  0.000  0.500  0.263
Fe  0.000  0.500  0.737
Fe  0.160  0.058  0.500
Fe  0.340  0.558  0.500
Fe  0.500  0.000  0.263
Fe  0.500  0.000  0.737
Fe  0.660  0.442  0.500
Fe  0.840  0.942  0.500
P  0.089  0.745  0.500
P  0.207  0.978  0.000
P  0.293  0.478  0.000
P  0.411  0.245  0.500
P  0.589  0.755  0.500
P  0.707  0.522  0.000
P  0.793  0.022  0.000
P  0.911  0.255  0.500
H  0.177  0.385  0.500
H  0.323  0.885  0.500
H  0.677  0.115  0.500
H  0.823  0.615  0.500
O  0.024  0.687  0.304
O  0.024  0.687  0.696
O  0.050  0.885  0.500
O  0.131  0.467  0.000
O  0.152  0.849  0.000
O  0.158  0.059  0.187
O  0.158  0.059  0.813
O  0.161  0.474  0.500
O  0.248  0.729  0.500
O  0.252  0.229  0.500
O  0.339  0.974  0.500
O  0.342  0.559  0.187
O  0.342  0.559  0.813
O  0.348  0.349  0.000
O  0.369  0.967  0.000
O  0.450  0.385  0.500
O  0.476  0.187  0.304
O  0.476  0.187  0.696
O  0.524  0.813  0.304
O  0.524  0.813  0.696
O  0.550  0.615  0.500
O  0.631  0.033  0.000
O  0.652  0.651  0.000
O  0.658  0.441  0.187
O  0.658  0.441  0.813
O  0.661  0.026  0.500
O  0.748  0.771  0.500
O  0.752  0.271  0.500
O  0.839  0.526  0.500
O  0.842  0.941  0.187
O  0.842  0.941  0.813
O  0.848  0.151  0.000
O  0.869  0.533  0.000
O  0.950  0.115  0.500
O  0.976  0.313  0.304
O  0.976  0.313  0.696

Output
corrected total energy (MP2020 scheme) = -7.662 eV per atom
energy of formation from the pure elements = -2482 meV per atom

Material: Li6V3P8O29
Method: DFT, PBE with a Hubbard U
State: relaxed

a b c (Å): 9.799 9.838 13.985
angles (deg): 89.90 89.56 60.18
Positions (direct):
Li  0.000  0.000  0.000
Li  0.001  0.433  0.556
Li  0.005  0.998  0.506
Li  0.010  0.569  0.051
Li  0.349  0.329  0.730
Li  0.352  0.754  0.174
Li  0.440  0.002  0.052
Li  0.446  0.572  0.558
Li  0.585  0.987  0.555
Li  0.674  0.664  0.103
Li  0.677  0.668  0.630
Li  0.909  0.339  0.172
V  0.112  0.231  0.365
V  0.112  0.668  0.862
V  0.240  0.101  0.860
V  0.243  0.663  0.363
V  0.674  0.230  0.866
V  0.677  0.102  0.361
P  0.008  0.000  0.744
P  0.011  0.000  0.243
P  0.338  0.332  0.986
P  0.346  0.332  0.487
P  0.361  0.758  0.958
P  0.363  0.888  0.456
P  0.449  0.978  0.271
P  0.455  0.573  0.773
P  0.588  0.980  0.768
P  0.595  0.439  0.270
P  0.762  0.354  0.458
P  0.762  0.887  0.955
P  0.897  0.753  0.455
P  0.901  0.349  0.955
P  0.990  0.579  0.270
P  0.994  0.441  0.771
O  0.004  0.154  0.280
O  0.008  0.998  0.638
O  0.010  0.001  0.136
O  0.016  0.410  0.278
O  0.018  0.583  0.778
O  0.021  0.846  0.788
O  0.048  0.768  0.444
O  0.052  0.186  0.947
O  0.148  0.578  0.289
O  0.150  0.010  0.787
O  0.159  0.292  0.782
O  0.164  0.852  0.280
O  0.193  0.485  0.945
O  0.195  0.335  0.449
O  0.197  0.771  0.948
O  0.198  0.036  0.446
O  0.292  0.134  0.291
O  0.303  0.559  0.784
O  0.334  0.186  0.943
O  0.334  0.329  0.092
O  0.335  0.745  0.455
O  0.339  0.924  0.954
O  0.350  0.327  0.595
O  0.350  0.479  0.449
O  0.421  0.004  0.778
O  0.425  0.584  0.275
O  0.442  0.900  0.180
O  0.448  0.677  0.047
O  0.459  0.655  0.684
O  0.461  0.866  0.358
O  0.462  0.882  0.537
O  0.463  0.668  0.865
O  0.489  0.323  0.940
O  0.495  0.183  0.445
O  0.574  0.144  0.780
O  0.585  0.009  0.277
O  0.588  0.287  0.282
O  0.595  0.407  0.780
O  0.664  0.877  0.036
O  0.667  0.894  0.678
O  0.674  0.452  0.542
O  0.681  0.455  0.364
O  0.683  0.449  0.186
O  0.688  0.873  0.856
O  0.755  0.921  0.456
O  0.759  0.325  0.955
O  0.776  0.037  0.951
O  0.777  0.191  0.448
O  0.858  0.136  0.791
O  0.865  0.000  0.290
O  0.878  0.676  0.357
O  0.889  0.451  0.863
O  0.895  0.655  0.536
O  0.903  0.440  0.043
O  0.909  0.443  0.682
O  0.916  0.650  0.177
O  0.931  0.744  0.956
O  0.935  0.324  0.454

Output
corrected total energy (MP2020 scheme) = -7.557 eV per atom
E above lowest polymorph = 8 meV per atom
energy of formation from the pure elements = -2654 meV per atom

Material: Co7Ru2O12
Method: DFT, PBE with a Hubbard U
State: relaxed

a b c (Å): 5.962 5.977 13.004
angles (deg): 101.24 101.58 92.37
Positions (direct):
Co  0.000  0.000  0.000
Co  0.004  0.003  0.502
Co  0.007  0.502  0.503
Co  0.135  0.871  0.749
Co  0.225  0.464  0.926
Co  0.324  0.341  0.667
Co  0.333  0.322  0.166
Co  0.461  0.233  0.425
Co  0.501  0.001  0.001
Co  0.543  0.778  0.579
Co  0.666  0.678  0.833
Co  0.682  0.662  0.336
Co  0.774  0.538  0.075
Co  0.871  0.134  0.252
Ru  0.178  0.674  0.326
Ru  0.325  0.826  0.178
Ru  0.676  0.176  0.824
Ru  0.826  0.331  0.675
O  0.083  0.117  0.669
O  0.088  0.552  0.661
O  0.098  0.551  0.165
O  0.109  0.080  0.168
O  0.228  0.274  0.513
O  0.231  0.734  0.488
O  0.253  0.769  0.019
O  0.262  0.232  0.012
O  0.406  0.431  0.321
O  0.433  0.915  0.339
O  0.439  0.422  0.824
O  0.455  0.913  0.831
O  0.549  0.090  0.171
O  0.552  0.105  0.662
O  0.554  0.577  0.172
O  0.581  0.563  0.678
O  0.738  0.768  0.988
O  0.750  0.232  0.982
O  0.777  0.272  0.515
O  0.790  0.736  0.501
O  0.892  0.918  0.831
O  0.902  0.452  0.836
O  0.939  0.442  0.346
O  0.940  0.899  0.336

Output
corrected total energy (MP2020 scheme) = -7.360 eV per atom
E above lowest polymorph = 12 meV per atom
energy of formation from the pure elements = -1280 meV per atom

Material: Li6MnFe2O6
Method: DFT, PBE with a Hubbard U
State: relaxed

a b c (Å): 3.224 8.367 11.041
angles (deg): 73.96 82.78 80.09
Positions (direct):
Li  0.000  0.000  0.000
Li  0.000  0.346  0.635
Li  0.168  0.164  0.502
Li  0.181  0.510  0.134
Li  0.318  0.333  0.001
Li  0.334  0.675  0.634
Li  0.498  0.501  0.499
Li  0.503  0.846  0.135
Li  0.668  0.663  0.002
Li  0.682  0.009  0.634
Li  0.820  0.832  0.500
Li  0.833  0.175  0.134
Mn  0.168  0.837  0.820
Mn  0.666  0.335  0.320
Fe  0.002  0.673  0.315
Fe  0.331  0.005  0.317
Fe  0.500  0.173  0.815
Fe  0.831  0.504  0.817
O  0.069  0.409  0.440
O  0.119  0.100  0.697
O  0.234  0.574  0.943
O  0.268  0.261  0.195
O  0.384  0.748  0.434
O  0.432  0.435  0.693
O  0.571  0.909  0.941
O  0.618  0.600  0.198
O  0.734  0.074  0.443
O  0.769  0.761  0.696
O  0.880  0.248  0.935
O  0.934  0.935  0.194

Output
corrected total energy (MP2020 scheme) = -6.374 eV per atom
E above lowest polymorph = 5 meV per atom
energy of formation from the pure elements = -1891 meV per atom